[1]
Crystalline Co5O8 at its relaxed geometry. Source: the Materials Project database, functional GGA+U.

Calculated values
- ρ (kg/m3) = 5320
- formation enthalpy at 0 K (meV per atom) = -1179

abc: 5.7142 5.7142 5.7142
angles: 60.00 60.00 60.00
Last column: nearest neighbours and their distance in Å.
Fractional positions:
Co: 0.0000 0.0000 0.0000  4 O 1.92
Co: 0.1310 0.6230 0.6230  6 O 1.87-1.94
Co: 0.6230 0.1310 0.6230  6 O 1.87-1.94
Co: 0.6230 0.6230 0.1310  6 O 1.87-1.94
Co: 0.6230 0.6230 0.6230  6 O 1.87-1.94
O: 0.3925 0.3925 0.3925  3 Co 1.87
O: 0.3925 0.3925 0.8226  3 Co 1.87
O: 0.3925 0.8226 0.3925  3 Co 1.87
O: 0.4125 0.8625 0.8625  4 Co 1.92-1.94
O: 0.8226 0.3925 0.3925  3 Co 1.87
O: 0.8625 0.4125 0.8625  4 Co 1.92-1.94
O: 0.8625 0.8625 0.4125  4 Co 1.92-1.94
O: 0.8625 0.8625 0.8625  4 Co 1.92-1.94

[2]
Crystalline CoO2 at its relaxed geometry. Source: the Materials Project database, functional GGA+U.

Calculated values
- ρ (kg/m3) = 3833
- size of the total moment (μB/f.u.) = 2.87
- formation enthalpy at 0 K (meV per atom) = -384

abc: 10.3844 10.6441 10.7111
angles: 86.85 89.38 88.81
Last column: nearest neighbours and their distance in Å.
Fractional positions:
Co: 0.0000 0.0000 0.0000  4 O 1.79-1.90
Co: 0.0028 0.1082 0.2749  3 O 1.73-1.87
Co: 0.0035 0.2494 0.8640  4 O 1.69-1.87
Co: 0.1521 0.5111 0.7824  5 O 1.95-2.15
Co: 0.1643 0.6873 0.3767  3 O 1.84-2.02
Co: 0.1915 0.7944 0.8474  5 O 1.78-1.99
Co: 0.2165 0.1751 0.4745  4 O 1.72-1.91
Co: 0.2319 0.0741 0.7210  4 O 1.83-1.94
Co: 0.2747 0.8599 0.1083  2 O 1.72-1.85
Co: 0.3444 0.3694 0.6081  2 O 1.80-1.91
Co: 0.3529 0.4173 0.1467  4 O 1.85-1.91
Co: 0.3592 0.2684 0.9097  4 O 1.83-1.96
Co: 0.3881 0.6695 0.6002  2 O 1.75-1.96
Co: 0.4130 0.6252 0.9073  4 O 1.82-1.89
Co: 0.4265 0.9431 0.8917  4 O 1.82-2.01
Co: 0.4747 0.1375 0.1147  5 O 1.97-2.19
Co: 0.5045 0.2891 0.3863  4 O 1.79-1.99
Co: 0.5069 0.9949 0.4071  4 O 1.77-1.92
Co: 0.5892 0.5441 0.1710  2 O 1.72-1.90
Co: 0.6176 0.5510 0.6942  4 O 1.85-1.90
Co: 0.6404 0.3745 0.9181  4 O 1.81-1.97
Co: 0.7502 0.9216 0.7867  4 O 1.83-1.93
Co: 0.7550 0.7999 0.0283  4 O 1.86-2.00
Co: 0.8175 0.9558 0.4909  4 O 1.78-1.98
Co: 0.8428 0.2794 0.3834  3 O 1.74-1.77
Co: 0.8557 0.4222 0.6393  4 O 1.80-1.97
Co: 0.8745 0.6798 0.5593  3 O 1.81-2.00
Co: 0.9323 0.5193 0.0096  4 O 1.95-2.02
Co: 0.9453 0.7070 0.8072  5 O 1.80-1.96
Co: 0.9730 0.1107 0.6368  4 O 1.89-2.02
O: 0.0316 0.4101 0.8943  1 Co 1.79
O: 0.0554 0.0936 0.8067  3 Co 1.87-2.05
O: 0.0591 0.8260 0.7461  2 Co 1.78-1.84
O: 0.0915 0.6421 0.8958  3 Co 1.90-1.99
O: 0.1306 0.0477 0.5740  3 Co 1.89-1.94
O: 0.1346 0.8936 0.9869  3 Co 1.79-1.98
O: 0.1703 0.1158 0.3356  2 Co 1.72-1.87
O: 0.1893 0.4957 0.5925  1 O 1.40
O: 0.1904 0.4461 0.2229  1 O 1.27
O: 0.2024 0.4958 0.3274  1 O 1.27
O: 0.2120 0.7587 0.2235  2 Co 1.72-1.84
O: 0.2182 0.6159 0.5421  1 O 1.40
O: 0.2304 0.2317 0.6324  3 Co 1.83-1.91
O: 0.2923 0.3858 0.7954  2 Co 1.83-1.95
O: 0.2916 0.9116 0.7640  3 Co 1.83-2.01
O: 0.3022 0.6472 0.7690  2 Co 1.89-2.01
O: 0.3112 0.8023 0.4630  1 O 1.33
O: 0.3249 0.2616 0.0782  3 Co 1.83-2.05
O: 0.3268 0.3033 0.4327  3 Co 1.83-2.05
O: 0.3422 0.7736 0.9586  3 Co 1.84-2.00
O: 0.3535 0.1113 0.8352  3 Co 1.83-1.99
O: 0.3811 0.8712 0.3816  1 O 1.33
O: 0.3973 0.9799 0.0676  3 Co 1.85-1.97
O: 0.4289 0.5570 0.0683  3 Co 1.84-2.00
O: 0.4398 0.0457 0.5650  1 O 1.40
O: 0.4555 0.4970 0.5944  2 Co 1.80-1.96
O: 0.4861 0.1288 0.3009  3 Co 1.78-2.00
O: 0.4941 0.6625 0.2977  1 O 1.25
O: 0.4950 0.4157 0.2589  3 Co 1.87-1.91
O: 0.5152 0.2456 0.5850  1 O 1.36
O: 0.5244 0.1222 0.6257  2 O 1.36-1.40
O: 0.5374 0.7086 0.6592  2 Co 1.75-1.88
O: 0.5402 0.2393 0.9536  2 Co 1.81-1.96
O: 0.5423 0.5237 0.8519  3 Co 1.82-1.97
O: 0.5433 0.6576 0.4039  1 O 1.25
O: 0.5958 0.9019 0.8682  2 Co 1.82-1.83
O: 0.6612 0.9249 0.4352  2 Co 1.77-1.78
O: 0.6620 0.0391 0.1047  1 O 1.28
O: 0.6762 0.2910 0.3964  2 Co 1.74-1.79
O: 0.6768 0.9238 0.1424  1 O 1.28
O: 0.6829 0.3955 0.1066  1 O 1.44
O: 0.6848 0.6696 0.1284  2 Co 1.72-1.86
O: 0.7190 0.4158 0.7529  3 Co 1.85-1.97
O: 0.7471 0.5609 0.5671  3 Co 1.85-1.97
O: 0.7894 0.3998 0.0190  1 O 1.44
O: 0.8113 0.7698 0.7156  2 Co 1.81-1.92
O: 0.8157 0.0259 0.6579  3 Co 1.86-1.98
O: 0.8411 0.6674 0.9386  3 Co 1.80-1.95
O: 0.8509 0.9260 0.9365  3 Co 1.90-1.93
O: 0.9082 0.1095 0.4412  3 Co 1.95-2.03
O: 0.9130 0.3804 0.4876  2 Co 1.76-1.80
O: 0.9301 0.5642 0.2770  2 O 1.35-1.40
O: 0.9330 0.8260 0.4880  2 Co 1.81
O: 0.9346 0.2702 0.2444  2 Co 1.77-1.86
O: 0.9384 0.2744 0.7048  3 Co 1.84-1.95
O: 0.9715 0.5745 0.6887  3 Co 1.96-2.13
O: 0.9787 0.9882 0.1759  2 Co 1.73-1.89
O: 0.9802 0.6302 0.3744  1 O 1.40
O: 0.9894 0.5959 0.1674  1 O 1.35
O: 0.9926 0.1763 0.0081  2 Co 1.69-1.88

[3]
Crystalline CoO2 at its relaxed geometry. Source: the Materials Project database, functional GGA+U.

Calculated values
- ρ (kg/m3) = 4492
- size of the total moment (μB/f.u.) = 1.00
- formation enthalpy at 0 K (meV per atom) = -1055

abc: 2.8497 2.8497 38.1521
angles: 90.05 90.05 119.77
Last column: nearest neighbours and their distance in Å.
Fractional positions:
Co: 0.2194 0.2194 0.1875  6 O 1.89-1.90
Co: 0.2344 0.2448 0.9381  6 O 1.89-1.90
Co: 0.2400 0.2384 0.6870  6 O 1.88-1.99
Co: 0.2412 0.2387 0.4365  6 O 1.89-1.90
Co: 0.7552 0.7656 0.0619  6 O 1.89-1.90
Co: 0.7613 0.7588 0.5635  6 O 1.89-1.90
Co: 0.7616 0.7600 0.3130  6 O 1.88-1.99
Co: 0.7806 0.7806 0.8125  6 O 1.89-1.90
O: 0.0903 0.4332 0.0375  3 Co 1.89-1.90
O: 0.0964 0.4270 0.5392  3 Co 1.89-1.90
O: 0.1111 0.4574 0.2869  3 Co 1.89-1.99
O: 0.1152 0.4484 0.7879  3 Co 1.89-1.90
O: 0.4103 0.0589 0.3386  3 Co 1.88-1.99
O: 0.4202 0.0976 0.0865  3 Co 1.89-1.90
O: 0.4264 0.0913 0.5881  3 Co 1.89-1.90
O: 0.4455 0.1126 0.8368  3 Co 1.89-1.90
O: 0.5426 0.8889 0.7131  3 Co 1.89-1.99
O: 0.5516 0.8848 0.2121  3 Co 1.89-1.90
O: 0.5668 0.9097 0.9625  3 Co 1.89-1.90
O: 0.5730 0.9036 0.4608  3 Co 1.89-1.90
O: 0.8874 0.5545 0.1632  3 Co 1.89-1.90
O: 0.9024 0.5798 0.9135  3 Co 1.89-1.90
O: 0.9087 0.5736 0.4119  3 Co 1.89-1.90
O: 0.9411 0.5897 0.6614  3 Co 1.88-1.99

[4]
Crystalline CoO2 at its relaxed geometry. Source: the Materials Project database, functional GGA+U.

Calculated values
- ρ (kg/m3) = 5183
- size of the total moment (μB/f.u.) = 1.00
- formation enthalpy at 0 K (meV per atom) = -1013

abc: 5.6100 5.6100 8.5517
angles: 90.00 90.00 120.00
Last column: nearest neighbours and their distance in Å.
Fractional positions:
Co: 0.1674 0.3347 0.0000  6 O 1.86-1.89
Co: 0.1674 0.8326 0.0000  6 O 1.86-1.89
Co: 0.3333 0.6667 0.2743  6 O 1.88-1.93
Co: 0.3347 0.1674 0.5000  6 O 1.86-1.89
Co: 0.6653 0.8326 0.0000  6 O 1.86-1.89
Co: 0.6667 0.3333 0.7743  6 O 1.88-1.93
Co: 0.8326 0.1674 0.5000  6 O 1.86-1.89
Co: 0.8326 0.6653 0.5000  6 O 1.86-1.89
O: 0.0000 0.0000 0.1074  3 Co 1.87
O: 0.0000 0.0000 0.6074  3 Co 1.87
O: 0.0416 0.5208 0.1298  3 Co 1.88-1.89
O: 0.1636 0.3273 0.3909  3 Co 1.86-1.93
O: 0.1636 0.8364 0.3909  3 Co 1.86-1.93
O: 0.3273 0.1636 0.8909  3 Co 1.86-1.93
O: 0.3333 0.6667 0.8879  3 Co 1.88
O: 0.4792 0.5208 0.1298  3 Co 1.88-1.89
O: 0.4792 0.9584 0.1298  3 Co 1.88-1.89
O: 0.5208 0.0416 0.6298  3 Co 1.88-1.89
O: 0.5208 0.4792 0.6298  3 Co 1.88-1.89
O: 0.6667 0.3333 0.3879  3 Co 1.88
O: 0.6727 0.8364 0.3909  3 Co 1.86-1.93
O: 0.8364 0.1636 0.8909  3 Co 1.86-1.93
O: 0.8364 0.6727 0.8909  3 Co 1.86-1.93
O: 0.9584 0.4792 0.6298  3 Co 1.88-1.89

[5]
Crystalline CoO2 at its relaxed geometry. Source: the Materials Project database, functional GGA+U.

Calculated values
- ρ (kg/m3) = 1924
- size of the total moment (μB/f.u.) = 1.00
- formation enthalpy at 0 K (meV per atom) = -918

abc: 2.8516 2.8516 10.6612
angles: 93.34 93.34 65.15
Last column: nearest neighbours and their distance in Å.
Fractional positions:
Co: 0.0000 0.0000 0.0000  2 O 1.78
O: 0.2949 0.2949 0.9073  1 Co 1.78
O: 0.7051 0.7051 0.0927  1 Co 1.78

[6]
Crystalline Co5O7 at its relaxed geometry. Source: the Materials Project database, functional GGA+U.

Calculated values
- ρ (kg/m3) = 4937
- size of the total moment (μB/f.u.) = 3.92
- formation enthalpy at 0 K (meV per atom) = -872

abc: 5.1390 5.1390 18.8375
angles: 90.00 90.00 146.64
Last column: nearest neighbours and their distance in Å.
Fractional positions:
Co: 0.0000 0.0000 0.0000  6 O 2.08-2.09
Co: 0.0000 0.0000 0.5000  6 O 2.08-2.09
Co: 0.2654 0.7346 0.5750  1 O 1.79
Co: 0.2654 0.7346 0.9250  1 O 1.79
Co: 0.4806 0.5194 0.1594  3 O 1.80-1.98
Co: 0.4806 0.5194 0.3406  3 O 1.80-1.98
Co: 0.5194 0.4806 0.6594  3 O 1.80-1.98
Co: 0.5194 0.4806 0.8406  3 O 1.80-1.98
Co: 0.7346 0.2654 0.0750  1 O 1.79
Co: 0.7346 0.2654 0.4250  1 O 1.79
O: 0.0965 0.9035 0.0991  5 Co 2.06-2.18
O: 0.0965 0.9035 0.4009  5 Co 2.06-2.18
O: 0.1530 0.8470 0.6498  3 Co 1.79-1.98
O: 0.1530 0.8470 0.8502  3 Co 1.79-1.98
O: 0.3569 0.6431 0.0214  5 Co 2.03-2.16
O: 0.3569 0.6431 0.4786  5 Co 2.03-2.16
O: 0.4621 0.5379 0.7500  2 Co 1.80
O: 0.5379 0.4621 0.2500  2 Co 1.80
O: 0.6431 0.3569 0.5214  5 Co 2.03-2.16
O: 0.6431 0.3569 0.9786  5 Co 2.03-2.16
O: 0.8470 0.1530 0.1498  3 Co 1.79-1.98
O: 0.8470 0.1530 0.3502  3 Co 1.79-1.98
O: 0.9035 0.0965 0.5991  5 Co 2.06-2.18
O: 0.9035 0.0965 0.9009  5 Co 2.06-2.18